ErSiNi: relaxed, r²SCAN.

a = 6.759 Å, b = 4.112 Å, c = 7.086 Å
α = 90.00°, β = 90.00°, γ = 90.00°
Positions (direct):
1 Er 0.009 0.250 0.203
2 Er 0.491 0.750 0.703
3 Er 0.509 0.250 0.297
4 Er 0.991 0.750 0.797
5 Si 0.193 0.250 0.589
6 Si 0.307 0.750 0.089
7 Si 0.693 0.250 0.911
8 Si 0.807 0.750 0.411
9 Ni 0.186 0.750 0.419
10 Ni 0.314 0.250 0.919
11 Ni 0.686 0.750 0.081
12 Ni 0.814 0.250 0.581

Values from the calculation:
**E_form**: -0.86 eV per atom